The following is a DFT calculation (r2SCAN) of a relaxed structure of Er5Si2Sb2.

abc: 8.405 8.405 7.787
angles: 90.00 90.00 124.97
Sites, in units of the cell vectors:
Er 0.960 0.710 0.665
Er 0.460 0.210 0.835
Er 0.210 0.460 0.835
Er 0.040 0.290 0.335
Er 0.000 0.000 0.000
Er 0.790 0.540 0.165
Er 0.710 0.960 0.665
Er 0.540 0.790 0.165
Er 0.500 0.500 0.500
Er 0.290 0.040 0.335
Si 0.866 0.866 0.367
Si 0.634 0.634 0.867
Si 0.134 0.134 0.633
Si 0.366 0.366 0.133
Sb 0.705 0.295 0.500
Sb 0.205 0.795 0.000
Sb 0.795 0.205 0.000
Sb 0.295 0.705 0.500

Computed properties:
ΔH_f (0 K) (eV/atom): -1.034
Space-group type: No. 64

=====

The following is a DFT calculation (r2SCAN) of a relaxed structure of NbSeBr3.

abc: 7.136 6.855 12.708
angles: 81.62 90.00 90.00
Sites, in units of the cell vectors:
Br 0.314 0.148 0.960
Br 0.569 0.246 0.195
Br 0.686 0.148 0.460
Br 0.431 0.246 0.695
Br 0.224 0.637 0.078
Br 0.686 0.852 0.040
Br 0.314 0.852 0.540
Br 0.431 0.754 0.805
Br 0.224 0.363 0.422
Br 0.776 0.363 0.922
Br 0.776 0.637 0.578
Br 0.569 0.754 0.305
Se 0.899 0.157 0.702
Se 0.101 0.843 0.298
Se 0.101 0.157 0.202
Se 0.899 0.843 0.798
Nb 0.634 0.930 0.650
Nb 0.366 0.930 0.150
Nb 0.366 0.070 0.350
Nb 0.634 0.070 0.850

Computed properties:
ΔH_f (0 K) (eV/atom): -0.982
Space-group type: No. 13

=====

The following is a DFT calculation (r2SCAN) of a relaxed structure of Nb2ReTc.

abc: 4.519 4.519 4.519
angles: 60.00 60.00 60.00
Sites, in units of the cell vectors:
Nb 0.750 0.750 0.750
Nb 0.250 0.250 0.250
Re 0.500 0.500 0.500
Tc 0.000 0.000 0.000

Computed properties:
ΔH_f (0 K) (eV/atom): -0.362
Space-group type: No. 225

=====

The following is a DFT calculation (r2SCAN) of a relaxed structure of GdBO3.

abc: 3.931 3.931 8.640
angles: 90.00 90.00 113.14
Sites, in units of the cell vectors:
Gd 0.941 0.941 0.500
Gd 0.941 0.941 0.000
O 0.334 0.673 0.606
O 0.142 0.003 0.250
O 0.334 0.673 0.894
O 0.003 0.142 0.750
O 0.673 0.334 0.106
O 0.673 0.334 0.394
B 0.508 0.235 0.250
B 0.235 0.508 0.750

Computed properties:
ΔH_f (0 K) (eV/atom): -3.244
Space-group type: No. 40

=====

The following is a DFT calculation (r2SCAN) of a relaxed structure of PuS.

abc: 3.984 3.984 3.984
angles: 60.00 60.00 60.00
Sites, in units of the cell vectors:
Pu 0.000 0.000 0.000
S 0.500 0.500 0.500

Computed properties:
ΔH_f (0 K) (eV/atom): -2.138
Space-group type: No. 225

=====

The following is a DFT calculation (r2SCAN) of a relaxed structure of KTi4O8.

abc: 2.983 7.316 7.315
angles: 87.61 78.23 78.24
Sites, in units of the cell vectors:
Ti 0.849 0.485 0.817
Ti 0.666 0.183 0.485
Ti 0.151 0.515 0.183
Ti 0.334 0.817 0.515
O 0.655 0.644 0.045
O 0.299 0.046 0.356
O 0.701 0.954 0.644
O 0.334 0.627 0.706
O 0.345 0.356 0.955
O 0.666 0.373 0.294
O 0.961 0.706 0.373
O 0.039 0.294 0.627
K 0.000 0.000 0.000

Computed properties:
ΔH_f (0 K) (eV/atom): -3.186
Space-group type: No. 87